Run A
{"formula": "U3Ge", "functional": "PBE", "state": "optimized geometry", "space_group": "I4/mmm", "lattice": [[2.1857, 4.6964, -0.4578], [-2.2480, 3.1609, 3.4639], [2.1368, -4.7063, 0.5730]], "species": ["U", "U", "U", "Ge"], "fractional_positions": [[0.5000, 0.5000, 0.0000], [0.7500, 0.2500, 0.5000], [0.2500, 0.7500, 0.5000], [0.0000, 0.0000, 0.0000]]}

---

Run B
{"formula": "U3Ge", "functional": "PBE", "state": "optimized geometry", "space_group": "Pm-3m", "lattice": [[-3.1129, -2.5382, 1.5260], [-0.5939, -1.6340, -3.9293], [2.9015, -3.0576, 0.8330]], "species": ["U", "U", "U", "Ge"], "fractional_positions": [[0.5000, 0.5000, 0.0000], [0.0000, 0.5000, 0.5000], [0.5000, 0.0000, 0.5000], [0.0000, 0.0000, 0.0000]]}

---

Of them, run A has the lowest stability.

---

Run A
{"formula": "Ge3W5", "functional": "PBE", "state": "optimized geometry", "space_group": "I4/mcm", "lattice": [[6.4245, 0.0000, 0.0000], [0.0000, 6.4245, 0.0000], [-3.2122, -3.2122, 6.0693]], "species": ["W", "W", "W", "W", "W", "W", "W", "W", "W", "W", "Ge", "Ge", "Ge", "Ge", "Ge", "Ge"], "fractional_positions": [[0.0000, 0.0000, 0.0000], [0.4963, 0.3224, 0.3187], [0.3224, 0.8224, 0.3187], [0.8224, 0.9963, 0.3187], [0.0037, 0.5037, 0.6813], [0.6776, 0.1776, 0.6813], [0.1776, 0.0037, 0.6813], [0.5000, 0.5000, 0.0000], [0.9963, 0.4963, 0.3187], [0.5037, 0.6776, 0.6813], [0.3626, 0.8626, 0.0000], [0.8626, 0.6374, 0.0000], [0.1374, 0.3626, 0.0000], [0.7500, 0.7500, 0.5000], [0.2500, 0.2500, 0.5000], [0.6374, 0.1374, 0.0000]]}

---

Run B
{"formula": "Ge3W5", "functional": "PBE", "state": "optimized geometry", "space_group": "I4/mcm", "lattice": [[1.8274, 1.5179, -4.4668], [7.2385, 1.6220, 0.6474], [2.5400, -5.8658, -3.8193]], "species": ["Ge", "Ge", "Ge", "Ge", "Ge", "Ge", "W", "W", "W", "W", "W", "W", "W", "W", "W", "W"], "fractional_positions": [[0.6696, 0.5000, 0.1608], [0.7500, 0.0000, 0.0000], [0.8304, 0.8392, 0.5000], [0.2500, 0.0000, 0.0000], [0.1696, 0.1608, 0.5000], [0.3304, 0.5000, 0.8392], [0.7308, 0.6949, 0.8436], [0.4256, 0.8436, 0.3051], [0.5744, 0.1564, 0.6949], [0.2692, 0.3051, 0.1564], [0.0744, 0.6949, 0.1564], [0.7500, 0.5000, 0.5000], [0.2308, 0.8436, 0.6949], [0.7692, 0.1564, 0.3051], [0.9256, 0.3051, 0.8436], [0.2500, 0.5000, 0.5000]]}

---

Of them, run A has the lowest stability.